# meta-GGA r2SCAN Li2GePd, relaxed
data_Li2GePd
_space_group_name_H-M_alt 'F -4 3 m'
_space_group_IT_number 216
_space_group_name_Hall 'F -4 2 3'
_cell_length_a 6.014
_cell_length_b 6.014
_cell_length_c 6.014
_cell_angle_alpha 90.00
_cell_angle_beta 90.00
_cell_angle_gamma 90.00
loop_
_atom_site_label
_atom_site_type_symbol
_atom_site_fract_x
_atom_site_fract_y
_atom_site_fract_z
Li1 Li 0.000 0.000 0.000
Li2 Li 0.250 0.250 0.250
Ge1 Ge 0.250 0.250 0.750
Pd1 Pd 0.000 0.000 0.500
# formation enthalpy at 0 K: -0.57 eV per atom
# calculated total energy: -175.524 eV per cell
# mass density: 5.89 Mg/m³


# meta-GGA r2SCAN LaErSe2, relaxed
data_LaErSe2
_space_group_name_H-M_alt 'R -3 m'
_space_group_IT_number 166
_space_group_name_Hall '-R 3 2"'
_cell_length_a 4.1053
_cell_length_b 4.1053
_cell_length_c 21.0053
_cell_angle_alpha 90.00
_cell_angle_beta 90.00
_cell_angle_gamma 120.00
loop_
_atom_site_label
_atom_site_type_symbol
_atom_site_fract_x
_atom_site_fract_y
_atom_site_fract_z
La1 La 0.0000 0.0000 0.0000
Er1 Er 0.0000 0.0000 0.5000
Se1 Se 0.0000 0.0000 0.2417
# formation enthalpy at 0 K: -2.10 eV per atom
# calculated total energy: -302.120 eV per cell
# mass density: 7.54 Mg/m³